Entry 1:
Computed, not measured: crystalline H5PbC2SBrN6 at its relaxed geometry at the PBE-GGA level of DFT.

Geometry as POSCAR:
```
H5PbC2SBrN6
1.0
11.785 0.000 0.000
0.000 7.767 0.000
0.000 2.330 9.714
H Pb C S Br N
20 4 8 4 4 24
Direct
0.397 0.361 0.054
0.603 0.639 0.946
0.897 0.139 0.946
0.103 0.861 0.054
0.569 0.836 0.846
0.431 0.164 0.154
0.069 0.664 0.154
0.931 0.336 0.846
0.615 0.836 0.213
0.385 0.164 0.787
0.115 0.664 0.787
0.885 0.336 0.213
0.900 0.783 0.059
0.100 0.217 0.941
0.400 0.717 0.941
0.600 0.283 0.059
0.720 0.788 0.097
0.280 0.212 0.903
0.220 0.712 0.903
0.780 0.288 0.097
0.657 0.571 0.649
0.343 0.429 0.351
0.157 0.929 0.351
0.843 0.071 0.649
0.893 0.875 0.241
0.107 0.125 0.759
0.393 0.625 0.759
0.607 0.375 0.241
0.764 0.911 0.391
0.236 0.089 0.609
0.264 0.589 0.609
0.736 0.411 0.391
0.634 0.920 0.466
0.366 0.080 0.534
0.134 0.580 0.534
0.866 0.420 0.466
0.369 0.815 0.145
0.631 0.185 0.855
0.869 0.685 0.855
0.131 0.315 0.145
0.947 0.921 0.344
0.053 0.079 0.656
0.447 0.579 0.656
0.553 0.421 0.344
0.866 0.944 0.437
0.134 0.056 0.563
0.366 0.556 0.563
0.634 0.444 0.437
0.944 0.846 0.124
0.056 0.154 0.876
0.444 0.654 0.876
0.556 0.346 0.124
0.780 0.867 0.265
0.220 0.133 0.735
0.280 0.633 0.735
0.720 0.367 0.265
0.440 0.299 0.141
0.560 0.701 0.859
0.940 0.201 0.859
0.060 0.799 0.141
0.696 0.828 0.182
0.304 0.172 0.818
0.196 0.672 0.818
0.804 0.328 0.182
```

Calculated values
* space-group type: No. 14
* energy of formation: -4.25 kcal/mol of atoms
* spin magnetization: 0.000 μB per atom
* total DFT energy (no corrections): -5.950 eV per atom



Entry 2:
Computed, not measured: crystalline Sb2H42C15Br9N9 at its relaxed geometry at the PBE-GGA level of DFT.

Geometry as POSCAR:
```
Sb2H42C15Br9N9
1.0
11.199 0.000 0.000
1.098 12.463 0.000
0.506 4.952 14.649
Sb H C Br N
4 84 30 18 18
Direct
0.754 0.415 0.825
0.246 0.585 0.175
0.784 0.202 0.684
0.216 0.798 0.316
0.582 0.452 0.271
0.418 0.548 0.729
0.504 0.363 0.233
0.496 0.637 0.767
0.977 0.728 0.515
0.023 0.272 0.485
0.908 0.601 0.546
0.092 0.399 0.454
0.916 0.868 0.165
0.084 0.132 0.835
0.987 0.817 0.085
0.013 0.183 0.915
0.547 0.170 0.302
0.453 0.830 0.698
0.514 0.205 0.183
0.486 0.795 0.817
0.611 0.083 0.238
0.389 0.917 0.762
0.830 0.273 0.115
0.170 0.727 0.885
0.833 0.127 0.184
0.167 0.873 0.816
0.723 0.188 0.095
0.277 0.812 0.905
0.711 0.555 0.175
0.289 0.445 0.825
0.770 0.515 0.289
0.230 0.485 0.711
0.869 0.540 0.194
0.131 0.460 0.806
0.897 0.234 0.279
0.103 0.766 0.721
0.968 0.340 0.190
0.032 0.660 0.810
0.948 0.353 0.301
0.052 0.647 0.699
0.894 0.832 0.618
0.106 0.168 0.382
0.946 0.919 0.508
0.054 0.081 0.492
0.826 0.971 0.567
0.174 0.029 0.433
0.649 0.904 0.403
0.351 0.096 0.597
0.627 0.974 0.487
0.373 0.026 0.513
0.746 0.009 0.406
0.254 0.991 0.594
0.803 0.586 0.428
0.197 0.414 0.572
0.726 0.513 0.531
0.274 0.487 0.469
0.644 0.579 0.428
0.356 0.421 0.572
0.575 0.776 0.556
0.425 0.224 0.444
0.517 0.756 0.455
0.483 0.244 0.545
0.541 0.639 0.558
0.459 0.361 0.442
0.791 0.751 0.260
0.209 0.249 0.740
0.733 0.894 0.243
0.267 0.106 0.757
0.633 0.785 0.265
0.367 0.215 0.735
0.592 0.916 0.020
0.408 0.084 0.980
0.516 0.828 0.117
0.484 0.172 0.883
0.564 0.960 0.118
0.436 0.040 0.882
0.939 0.911 0.938
0.061 0.089 0.062
0.944 0.772 0.928
0.056 0.228 0.072
0.843 0.884 0.860
0.157 0.116 0.140
0.642 0.719 0.034
0.358 0.281 0.966
0.645 0.808 0.918
0.355 0.192 0.082
0.745 0.683 0.955
0.255 0.317 0.045
0.689 0.335 0.229
0.311 0.665 0.771
0.585 0.171 0.235
0.415 0.829 0.765
0.775 0.203 0.149
0.225 0.797 0.851
0.784 0.506 0.221
0.216 0.494 0.779
0.908 0.325 0.249
0.092 0.675 0.751
0.792 0.744 0.507
0.208 0.256 0.493
0.867 0.896 0.553
0.133 0.104 0.447
0.694 0.939 0.448
0.306 0.061 0.552
0.720 0.587 0.468
0.280 0.413 0.532
0.576 0.719 0.515
0.424 0.281 0.485
0.801 0.831 0.079
0.199 0.169 0.921
0.716 0.815 0.230
0.284 0.185 0.770
0.587 0.886 0.094
0.413 0.114 0.906
0.886 0.848 0.927
0.114 0.152 0.073
0.700 0.754 0.975
0.300 0.246 0.025
0.586 0.408 0.949
0.414 0.592 0.051
0.939 0.391 0.671
0.061 0.609 0.329
0.928 0.425 0.936
0.072 0.575 0.064
0.574 0.372 0.694
0.426 0.628 0.306
0.721 0.646 0.755
0.279 0.354 0.245
0.783 0.161 0.889
0.217 0.839 0.111
0.638 0.034 0.705
0.362 0.966 0.295
0.785 0.254 0.499
0.215 0.746 0.501
0.990 0.062 0.702
0.010 0.938 0.298
0.585 0.382 0.250
0.415 0.618 0.750
0.691 0.234 0.213
0.309 0.766 0.787
0.790 0.388 0.225
0.210 0.612 0.775
0.900 0.687 0.526
0.100 0.313 0.474
0.777 0.853 0.509
0.223 0.147 0.491
0.699 0.693 0.489
0.301 0.307 0.511
0.909 0.844 0.109
0.091 0.156 0.891
0.703 0.831 0.133
0.297 0.169 0.867
0.792 0.818 0.996
0.208 0.182 0.004
```

Calculated values
* space-group type: No. 2
* energy of formation: -6.88 kcal/mol of atoms
* spin magnetization: 0.000 μB per atom
* total DFT energy (no corrections): -5.178 eV per atom